# 1
GaCu3N3 | PBE | relaxed

Cell lengths 4.1421, 4.1421, 4.1421 Å; angles 90.00, 90.00, 90.00 degrees
Atoms (fractional coordinates):
Ga 0.0000 0.0000 0.0000
Cu 0.0000 0.5000 0.5000
Cu 0.5000 0.0000 0.5000
Cu 0.5000 0.5000 0.0000
N 0.0000 0.0000 0.5000
N 0.0000 0.5000 0.0000
N 0.5000 0.0000 0.0000

Values from the calculation:
Formation enthalpy at 0 K = 2.3 eV/f.u.
Space group = No. 221
Total moment = 0.001 μB per formula unit

***

# 2
NbGaCu | PBE | relaxed

Cell lengths 7.9283, 5.0578, 5.0578 Å; angles 59.86, 90.00, 90.00 degrees
Atoms (fractional coordinates):
Nb 0.1818 0.0000 0.0000
Nb 0.3149 0.6682 0.6682
Nb 0.6851 0.6682 0.6682
Nb 0.8182 0.0000 0.0000
Ga 0.0000 0.5049 0.5049
Ga 0.5000 0.1629 0.1629
Ga 0.5000 0.1637 0.6753
Ga 0.5000 0.6753 0.1637
Cu 0.0000 0.5038 0.9926
Cu 0.0000 0.9926 0.5038
Cu 0.2488 0.3329 0.3329
Cu 0.7512 0.3329 0.3329

Values from the calculation:
Formation enthalpy at 0 K = -0.6 eV/f.u.
Space group = No. 38
Total moment = 0.000 μB per formula unit

***

# 3
NdGa2Cu2 | PBE | relaxed

Cell lengths 6.0160, 6.0160, 6.0160 Å; angles 139.63, 139.63, 58.42 degrees
Atoms (fractional coordinates):
Nd 0.0000 0.0000 0.0000
Ga 0.2500 0.7500 0.5000
Ga 0.7500 0.2500 0.5000
Cu 0.3837 0.3837 0.0000
Cu 0.6163 0.6163 0.0000

Values from the calculation:
Formation enthalpy at 0 K = -2.0 eV/f.u.
Space group = No. 139

***

# 4
Sr2NdGaCu2O7 | PBE | relaxed

Cell lengths 5.4842, 5.6078, 12.2225 Å; angles 103.10, 102.94, 90.05 degrees
Atoms (fractional coordinates):
Sr 0.0000 0.0000 0.0000
Sr 0.1792 0.1934 0.3877
Sr 0.4986 0.4608 0.0004
Sr 0.6845 0.6537 0.3892
Nd 0.3450 0.3187 0.6951
Nd 0.8458 0.8199 0.6960
Ga 0.0667 0.6474 0.1963
Ga 0.5647 0.0077 0.1908
Cu 0.2649 0.7424 0.5411
Cu 0.4283 0.9008 0.8520
Cu 0.7683 0.2433 0.5475
Cu 0.9244 0.3998 0.8450
O 0.0206 0.5072 0.5659
O 0.0292 0.0074 0.5589
O 0.0650 0.4494 0.0538
O 0.1548 0.1321 0.8256
O 0.1724 0.6344 0.8320
O 0.2024 0.6032 0.3425
O 0.2230 0.9521 0.1952
O 0.5223 0.4938 0.5633
O 0.5337 0.9965 0.5619
O 0.5518 0.0484 0.0437
O 0.6619 0.1482 0.8268
O 0.6731 0.6433 0.8318
O 0.7104 0.2114 0.3301
O 0.7210 0.7043 0.1945

Values from the calculation:
ΔE to the lowest computed polymorph = 3 meV/atom
Formation enthalpy at 0 K = -32.0 eV/f.u.
Space group = No. 1
Total moment = 0.006 μB per formula unit